Compound: MgBi2O4
Source: the Materials Project
Functional: PBE
Structure: optimized geometry

Results
SG	Fd-3m
energy with MP2020 corrections	-6.02	eV/atom

abc: 6.8339 6.8339 6.8339
angles: 60.00 60.00 60.00
With the nearest neighbours (Å) after each atom.
Atoms (fractional coordinates):
Mg 0.1250 0.1250 0.1250  4 O 2.08
Mg 0.8750 0.8750 0.8750  4 O 2.08
Bi 0.0000 0.5000 0.5000  6 O 2.42
Bi 0.5000 0.0000 0.5000  6 O 2.42
Bi 0.5000 0.5000 0.0000  6 O 2.42
Bi 0.5000 0.5000 0.5000  6 O 2.42
O 0.2483 0.7506 0.7506  1 Mg 2.08
O 0.2494 0.2494 0.2494  1 Mg 2.08
O 0.2494 0.2494 0.7517  1 Mg 2.08
O 0.2494 0.7517 0.2494  1 Mg 2.08
O 0.7506 0.2483 0.7506  1 Mg 2.08
O 0.7506 0.7506 0.2483  1 Mg 2.08
O 0.7506 0.7506 0.7506  1 Mg 2.08
O 0.7517 0.2494 0.2494  1 Mg 2.08

=====

Compound: Ce2CuGe3
Source: the Materials Project
Functional: PBE
Structure: optimized geometry

Results
SG	P-6m2

abc: 4.2722 4.2722 7.9843
angles: 90.00 90.00 120.00
With the nearest neighbours (Å) after each atom.
Atoms (fractional coordinates):
Ce 0.0000 0.0000 0.2481  9 Ge 3.16-3.18, 3 Cu 3.16
Ce 0.0000 0.0000 0.7519  9 Ge 3.16-3.18, 3 Cu 3.16
Cu 0.3333 0.6667 0.0000  3 Ge 2.47
Ge 0.3333 0.6667 0.5000  3 Ge 2.47
Ge 0.6667 0.3333 0.0000  3 Cu 2.47
Ge 0.6667 0.3333 0.5000  3 Ge 2.47

=====

Compound: TeMoS
Source: the Materials Project
Functional: PBE
Structure: optimized geometry

Results
SG	P3m1
energy with MP2020 corrections	-6.70	eV/atom

abc: 3.3655 3.3655 38.2269
angles: 90.00 90.00 120.00
With the nearest neighbours (Å) after each atom.
Atoms (fractional coordinates):
Te 0.0000 0.0000 0.0000  3 Mo 2.71
Te 0.0000 0.0000 0.0989  3 Mo 2.71
Te 0.0000 0.0000 0.3758  3 Mo 2.71
Te 0.0000 0.0000 0.4746  3 Mo 2.71
Mo 0.0000 0.0000 0.2373  6 S 2.46
Mo 0.0000 0.0000 0.8616  6 S 2.46
Mo 0.3333 0.6667 0.0495  6 Te 2.71
Mo 0.3333 0.6667 0.4252  6 Te 2.71
S 0.3333 0.6667 0.1978  3 Mo 2.46
S 0.3333 0.6667 0.2768  3 Mo 2.46
S 0.3333 0.6667 0.8220  3 Mo 2.46
S 0.3333 0.6667 0.9011  3 Mo 2.46

=====

Quick rundown of V, same order as above: 226 126 375 Å³/cell
Quick rundown of uncorrected energy, same order as above: -0.2068 -0.2047 -0.2402 hartree per atom
Quick rundown of ΔH_f (0 K), same order as above: -1852 -598 -661 meV/atom